The following is a GGA-PBE calculation of a geometry-optimized V4Te3N2 structure, from the Materials Project database.

abc: 6.5261 10.7546 9.3118
angles: 90.00 90.00 90.00
Fractional coordinates of all 36 atoms:
1 V 0.6074 0.2500 0.9136
2 V 0.1074 0.2500 0.5864
3 V 0.3926 0.7500 0.0864
4 V 0.8926 0.7500 0.4136
5 V 0.7528 0.2500 0.4367
6 V 0.2528 0.2500 0.0633
7 V 0.2472 0.7500 0.5633
8 V 0.7472 0.7500 0.9367
9 V 0.6793 0.4747 0.0513
10 V 0.1793 0.0253 0.4487
11 V 0.3207 0.9747 0.9487
12 V 0.8207 0.5253 0.5513
13 V 0.3207 0.5253 0.9487
14 V 0.8207 0.9747 0.5513
15 V 0.6793 0.0253 0.0513
16 V 0.1793 0.4747 0.4487
17 Te 0.8525 0.2500 0.1580
18 Te 0.3525 0.2500 0.3420
19 Te 0.1475 0.7500 0.8420
20 Te 0.6475 0.7500 0.6580
21 Te 0.5558 0.5753 0.3250
22 Te 0.0558 0.9247 0.1750
23 Te 0.4442 0.0753 0.6750
24 Te 0.9442 0.4247 0.8250
25 Te 0.4442 0.4247 0.6750
26 Te 0.9442 0.0753 0.8250
27 Te 0.5558 0.9247 0.3250
28 Te 0.0558 0.5753 0.1750
29 N 0.5632 0.6249 0.9745
30 N 0.0632 0.8751 0.5255
31 N 0.4368 0.1249 0.0255
32 N 0.9368 0.3751 0.4745
33 N 0.4368 0.3751 0.0255
34 N 0.9368 0.1249 0.4745
35 N 0.5632 0.8751 0.9745
36 N 0.0632 0.6249 0.5255

Its space group is Pnma, No. 62. As for the magnetic moment: 4.1 μB per formula unit. As for the formation energy: -4.3 eV per formula unit.

The following is a GGA-PBE calculation of a geometry-optimized Y3Te3N structure, from the Materials Project database.

abc: 12.0110 8.1384 8.6958
angles: 71.17 90.00 90.00
Fractional coordinates of all 28 atoms:
1 Y 0.0236 0.6029 0.1373
2 Y 0.5236 0.3971 0.3627
3 Y 0.9764 0.3971 0.8627
4 Y 0.4764 0.6029 0.6373
5 Y 0.4121 0.8392 0.2043
6 Y 0.9121 0.1608 0.2957
7 Y 0.5879 0.1608 0.7957
8 Y 0.0879 0.8392 0.7043
9 Y 0.7098 0.7660 0.3464
10 Y 0.2098 0.2340 0.1536
11 Y 0.2902 0.2340 0.6536
12 Y 0.7902 0.7660 0.8464
13 Te 0.9793 0.7768 0.4126
14 Te 0.4793 0.2232 0.0874
15 Te 0.0207 0.2232 0.5874
16 Te 0.5207 0.7768 0.9126
17 Te 0.2661 0.5086 0.3127
18 Te 0.7661 0.4914 0.1873
19 Te 0.7339 0.4914 0.6873
20 Te 0.2339 0.5086 0.8127
21 Te 0.3073 0.9545 0.4818
22 Te 0.8073 0.0455 0.0182
23 Te 0.6927 0.0455 0.5182
24 Te 0.1927 0.9545 0.9818
25 N 0.5350 0.6728 0.3763
26 N 0.0350 0.3272 0.1237
27 N 0.4650 0.3272 0.6237
28 N 0.9650 0.6728 0.8763

Its space group is P2_1/c, No. 14. As for the formation energy: -10.9 eV per formula unit.

The following is a GGA-PBE calculation of a geometry-optimized Th3N4 structure, from the Materials Project database.

abc: 3.8818 3.8818 9.4306
angles: 78.12 78.12 60.00
Fractional coordinates of all 7 atoms:
1 Th 0.0000 0.0000 0.0000
2 Th 0.2219 0.2219 0.3343
3 Th 0.7781 0.7781 0.6657
4 N 0.1325 0.1325 0.6024
5 N 0.8675 0.8675 0.3976
6 N 0.3769 0.3769 0.8692
7 N 0.6231 0.6231 0.1308

Its space group is R-3m, No. 166. As for the formation energy: -12.7 eV per formula unit.